1.
Here is crystalline La3Co at its relaxed geometry from Materials Project. Energies are from meta-GGA r2SCAN.

Output
Space-group type: Pnma, No. 62
Calculated density in g/cm3: 6.599
Electronic total energy in eV for the cell shown: -410.41
Formation enthalpy at 0 K in eV per atom: -0.03

Unit cell a=6.777 b=7.037 c=10.038 alpha=90.00 beta=90.00 gamma=90.02
Sites, in units of the cell vectors:
La 0.828 0.647 0.069
La 0.672 0.147 0.069
La 0.172 0.353 0.931
La 0.328 0.853 0.569
La 0.868 0.924 0.750
La 0.132 0.076 0.250
La 0.172 0.353 0.569
La 0.672 0.147 0.431
La 0.328 0.853 0.931
La 0.828 0.647 0.431
La 0.368 0.576 0.250
La 0.632 0.424 0.750
Co 0.551 0.871 0.250
Co 0.449 0.129 0.750
Co 0.051 0.630 0.750
Co 0.949 0.370 0.250

***

2.
Here is crystalline LaCo2P2 at its relaxed geometry from Materials Project. Energies are from meta-GGA r2SCAN.

Output
Space-group type: I4/mmm, No. 139
Calculated density in g/cm3: 6.654
Electronic total energy in eV for the cell shown: -79.29
Formation enthalpy at 0 K in eV per atom: -1.01

Unit cell a=3.800 b=3.800 c=6.125 alpha=108.04 beta=108.04 gamma=90.00
Sites, in units of the cell vectors:
La 0.000 0.000 0.000
Co 0.250 0.750 0.500
Co 0.750 0.250 0.500
P 0.350 0.350 0.701
P 0.650 0.650 0.299